Record 1
Mn3Co2NiP6O24 after structural relaxation. Source: Materials Project, functional PBE+U.

Formation enthalpy at 0 K, meV per atom: -2181
Theoretical density, g/cm3: 3.48

a b c (Å): 8.5737 8.5737 20.4802
angles (deg): 90.00 90.00 120.00
Space group R3 (No. 146, hexagonal axes)
Inequivalent atoms, fractional coordinates:
Mn  0.0000  0.0000  0.0000 x3
Mn  0.0000  0.0000  0.2171 x3
Mn  0.0000  0.0000  0.7160 x3
Co  0.0000  0.0000  0.3620 x3
Co  0.0000  0.0000  0.8583 x3
Ni  0.0000  0.0000  0.5006 x3
P  0.9998  0.7092  0.1072 x9
P  0.0405  0.3731  0.2752 x9
O  0.0002  0.8043  0.1707 x9
O  0.0132  0.1777  0.2852 x9
O  0.0234  0.8390  0.7826 x9
O  0.1307  0.4625  0.2126 x9
O  0.1379  0.4683  0.3384 x9
O  0.1461  0.6736  0.7121 x9
O  0.1651  0.6836  0.0974 x9
O  0.1698  0.4881  0.6024 x9

=====

Record 2
MnCo4O8 after structural relaxation. Source: Materials Project, functional PBE+U.

Formation enthalpy at 0 K, meV per atom: -1304
Theoretical density, g/cm3: 5.17
Excess energy over the best structure of this formula in the dataset, eV/atom: 0.000

a b c (Å): 5.683 5.691 5.714
angles (deg): 91.12 119.72 117.60
Space group P-1 (No. 2)
Inequivalent atoms, fractional coordinates:
Mn  0.000  0.000  0.000 x1
Co  0.000  0.000  0.500 x1
Co  0.500  0.000  0.000 x1
Co  0.500  0.000  0.500 x1
Co  0.500  0.500  0.000 x1
O  0.026  0.791  0.262 x2
O  0.044  0.802  0.767 x2
O  0.455  0.206  0.737 x2
O  0.463  0.210  0.227 x2